(i)
Sn3H2O4, relaxed, DFT PBE; space-group type = P-42_1c
1.0
8.008 0.000 0.000
0.000 8.008 0.000
0.000 0.000 9.150
Sn H O
12 8 16
direct
0.000 0.000 0.221
0.000 0.000 0.779
0.118 0.296 0.501
0.204 0.382 0.001
0.296 0.882 0.499
0.382 0.796 0.999
0.500 0.500 0.279
0.500 0.500 0.721
0.618 0.204 0.999
0.704 0.118 0.499
0.796 0.618 0.001
0.882 0.704 0.501
0.159 0.677 0.259
0.177 0.659 0.759
0.323 0.159 0.741
0.341 0.177 0.241
0.659 0.823 0.241
0.677 0.841 0.741
0.823 0.341 0.759
0.841 0.323 0.259
0.082 0.812 0.625
0.107 0.754 0.331
0.188 0.082 0.375
0.246 0.107 0.669
0.254 0.607 0.831
0.312 0.582 0.125
0.393 0.254 0.169
0.418 0.312 0.875
0.582 0.688 0.875
0.607 0.746 0.169
0.688 0.418 0.125
0.746 0.393 0.831
0.754 0.893 0.669
0.812 0.918 0.375
0.893 0.246 0.331
0.918 0.188 0.625

(ii)
Sn3H2O4, relaxed, DFT PBE; space-group type = Cc
1.0
5.870 -5.983 0.000
5.870 5.983 0.000
-0.823 0.000 9.600
Sn H O
12 8 16
direct
0.047 0.953 0.500
0.112 0.687 0.219
0.152 0.663 0.753
0.306 0.409 0.438
0.409 0.306 0.938
0.433 0.792 0.520
0.543 0.873 0.983
0.663 0.152 0.253
0.687 0.112 0.719
0.792 0.433 0.020
0.873 0.543 0.483
0.953 0.047 0.000
0.089 0.365 0.624
0.318 0.986 0.736
0.365 0.089 0.124
0.412 0.633 0.263
0.633 0.412 0.763
0.836 0.836 0.242
0.836 0.836 0.742
0.986 0.318 0.236
0.012 0.441 0.657
0.079 0.491 0.353
0.223 0.830 0.390
0.256 0.911 0.668
0.318 0.589 0.601
0.441 0.012 0.157
0.454 0.583 0.346
0.491 0.079 0.853
0.583 0.454 0.846
0.589 0.318 0.101
0.750 0.967 0.106
0.785 0.908 0.812
0.830 0.223 0.890
0.908 0.785 0.312
0.911 0.256 0.168
0.967 0.750 0.606

Which is the most stable structure? (i) is the most stable.